# PBE+U NiH44C12N8Cl2O10, relaxed
# SG: P-1 (2)
# ΔH_f (0 K) in eV/atom: -0.432
# Crystal system: triclinic
data_NiH44C12N8Cl2O10
_cell_length_a 9.250
_cell_length_b 8.984
_cell_length_c 11.197
_cell_angle_alpha 118.35
_cell_angle_beta 103.87
_cell_angle_gamma 99.38
_symmetry_space_group_name_H-M 'P 1'
_symmetry_Int_Tables_number 1
_symmetry_space_group_name_Hall 'P 1'
loop_
_atom_site_label
_atom_site_fract_x
_atom_site_fract_y
_atom_site_fract_z
N1 0.669 0.785 0.262
N2 0.075 0.008 0.683
N3 0.925 0.992 0.317
N4 0.331 0.215 0.738
N5 0.648 0.856 0.076
N6 0.684 0.084 0.321
N7 0.316 0.916 0.679
N8 0.352 0.144 0.924
C1 0.155 0.162 0.681
C2 0.399 0.283 0.894
C3 0.612 0.016 0.164
C4 0.076 0.048 0.030
C5 0.860 0.137 0.376
C6 0.378 0.058 0.655
C7 0.622 0.942 0.345
C8 0.601 0.717 0.106
C9 0.845 0.838 0.319
C10 0.388 0.984 0.836
C11 0.140 0.863 0.624
C12 0.924 0.952 0.970
Ni1 0.500 0.500 0.500
H1 0.104 0.799 0.505
H2 0.342 0.881 0.856
H3 0.346 0.730 0.610
H4 0.493 0.904 0.308
H5 0.906 0.238 0.353
H6 0.633 0.413 0.336
H7 0.896 0.201 0.495
H8 0.517 0.009 0.860
H9 0.094 0.762 0.647
H10 0.472 0.667 0.073
H11 0.528 0.333 0.927
H12 0.122 0.278 0.746
H13 0.483 0.991 0.140
H14 0.830 0.966 0.683
H15 0.878 0.722 0.254
H16 0.367 0.587 0.664
H17 0.643 0.607 0.046
H18 0.402 0.196 0.033
H19 0.357 0.393 0.954
H20 0.076 0.475 0.156
H21 0.120 0.128 0.568
H22 0.330 0.008 0.538
H23 0.885 0.806 0.908
H24 0.834 0.017 0.980
H25 0.192 0.592 0.127
H26 0.328 0.545 0.279
H27 0.166 0.983 0.020
H28 0.598 0.804 0.967
H29 0.758 0.066 0.796
H30 0.903 0.951 0.210
H31 0.924 0.525 0.844
H32 0.880 0.872 0.432
H33 0.589 0.618 0.261
H34 0.808 0.408 0.873
H35 0.411 0.382 0.739
H36 0.097 0.049 0.790
H37 0.170 0.034 0.317
H38 0.507 0.096 0.692
H39 0.670 0.992 0.462
H40 0.242 0.934 0.204
H41 0.115 0.194 0.092
H42 0.654 0.270 0.390
H43 0.658 0.119 0.144
H44 0.672 0.455 0.721
O1 0.440 0.559 0.345
O2 0.477 0.505 0.756
O3 0.272 0.035 0.305
O4 0.728 0.965 0.695
O5 0.814 0.444 0.802
O6 0.186 0.556 0.198
O7 0.560 0.441 0.655
O8 0.523 0.495 0.244
O9 0.348 0.599 0.578
O10 0.652 0.401 0.422
Cl1 0.820 0.344 0.032
Cl2 0.180 0.656 0.968